Record 1
{"formula": "Mg5Si6", "functional": "PBE", "state": "relaxed", "lattice_angstrom": [[7.734, 0.011, -2.390], [-0.210, 4.072, -0.777], [-0.067, -0.063, 12.954]], "species": ["Mg", "Si", "Mg", "Si", "Mg", "Mg", "Si", "Si", "Mg", "Si", "Si", "Si", "Mg", "Mg", "Si", "Mg", "Si", "Mg", "Si", "Mg", "Si", "Si"], "frac_coords": [[0.682, 0.550, 0.587], [0.999, 0.352, 0.196], [0.119, 0.603, 0.678], [0.405, 0.305, 0.070], [0.267, 0.855, 0.175], [0.583, 0.656, 0.792], [0.888, 0.034, 0.563], [0.834, 0.123, 0.745], [0.799, 0.789, 0.043], [0.583, 0.234, 0.947], [0.948, 0.683, 0.842], [0.725, 0.869, 0.238], [0.053, 0.259, 0.989], [0.885, 0.461, 0.407], [0.153, 0.039, 0.511], [0.316, 0.726, 0.927], [0.044, 0.921, 0.310], [0.292, 0.470, 0.408], [0.538, 0.385, 0.267], [0.565, 0.963, 0.409], [0.346, 0.147, 0.774], [0.475, 0.070, 0.621]], "ef_mev_per_atom": 140, "magnetic_moment_mub_per_fu": 0.00, "e_above_lowest_polymorph_ev_per_fu": 0.82}

=====

Record 2
{"formula": "Mg2Si3", "functional": "PBE", "state": "relaxed", "lattice_angstrom": [[3.955, 0.000, 0.000], [-0.767, 5.825, 0.000], [-1.249, -1.554, 16.304]], "species": ["Si", "Mg", "Si", "Si", "Mg", "Mg", "Si", "Mg", "Si", "Si", "Si", "Si", "Si", "Si", "Mg", "Mg", "Mg", "Si", "Si", "Mg"], "frac_coords": [[0.006, 0.269, 0.824], [0.525, 0.496, 0.279], [0.980, 0.685, 0.175], [0.050, 0.196, 0.664], [0.623, 0.498, 0.729], [0.115, 0.529, 0.550], [0.349, 0.623, 0.875], [0.969, 0.973, 0.944], [0.730, 0.824, 0.622], [0.569, 0.305, 0.441], [0.057, 0.280, 0.143], [0.525, 0.207, 0.054], [0.813, 0.468, 0.950], [0.103, 0.808, 0.328], [0.552, 0.006, 0.220], [0.651, 0.814, 0.445], [0.415, 0.693, 0.057], [0.036, 0.210, 0.356], [0.513, 0.158, 0.574], [0.416, 0.959, 0.770]], "ef_mev_per_atom": 173, "magnetic_moment_mub_per_fu": 0.00, "e_above_lowest_polymorph_ev_per_fu": 0.47}

=====

Record 3
{"formula": "Mg5Si6", "functional": "PBE", "state": "relaxed", "lattice_angstrom": [[-0.086, -1.317, 5.701], [5.419, -2.314, -0.364], [4.973, 10.750, 2.942]], "species": ["Mg", "Mg", "Si", "Mg", "Si", "Mg", "Si", "Mg", "Si", "Si", "Si", "Mg", "Si", "Si", "Si", "Mg", "Mg", "Mg", "Mg", "Si", "Si", "Si"], "frac_coords": [[0.777, 0.669, 0.868], [0.067, 0.665, 0.394], [0.921, 0.129, 0.821], [0.093, 0.623, 0.112], [0.603, 0.524, 0.589], [0.328, 0.220, 0.466], [0.294, 0.800, 0.576], [0.259, 0.416, 0.894], [0.335, 0.846, 0.932], [0.579, 0.289, 0.745], [0.290, 0.003, 0.745], [0.046, 0.446, 0.655], [0.890, 0.972, 0.245], [0.813, 0.271, 0.464], [0.297, 0.040, 0.246], [0.859, 0.181, 0.040], [0.598, 0.717, 0.111], [0.573, 0.794, 0.385], [0.815, 0.930, 0.621], [0.796, 0.368, 0.266], [0.382, 0.153, 0.060], [0.383, 0.442, 0.263]], "ef_mev_per_atom": 136, "magnetic_moment_mub_per_fu": 0.00, "e_above_lowest_polymorph_ev_per_fu": 0.78}